# 1
# Ti2CrTe4

An optimized crystal structure of Ti2CrTe4 (PBE, the Materials Project).

Output
**Symmetry**: C2/m
**Electronic total energy**: -5.98 eV/atom
**Calculated formation energy**: -76 kJ/mol of atoms

a = 7.456 Å, b = 7.456 Å, c = 6.895 Å
α = 116.12°, β = 116.12°, γ = 29.82°
Fractional coordinates of all 7 atoms:
Ti1 0.247 0.247 0.201
Ti2 0.753 0.753 0.799
Cr1 0.500 0.500 0.500
Te1 0.135 0.135 0.469
Te2 0.393 0.393 0.053
Te3 0.607 0.607 0.947
Te4 0.865 0.865 0.531



# 2
# Rb2LiFeC6N6

An optimized crystal structure of Rb2LiFeC6N6 (PBE, the Materials Project).

Output
**Symmetry**: P2_1/c
**Electronic total energy**: -7.47 eV/atom
**Calculated formation energy**: -24 kJ/mol of atoms

a = 7.277 Å, b = 7.480 Å, c = 12.644 Å
α = 90.00°, β = 124.92°, γ = 90.00°
Fractional coordinates of all 32 atoms:
Rb1 0.236 0.055 0.249
Rb2 0.236 0.445 0.749
Rb3 0.764 0.555 0.251
Rb4 0.764 0.945 0.751
Li1 0.000 0.000 0.500
Li2 0.000 0.500 0.000
Fe1 0.500 0.000 0.000
Fe2 0.500 0.500 0.500
C1 0.264 0.144 0.978
C2 0.264 0.356 0.478
C3 0.324 0.708 0.470
C4 0.324 0.792 0.970
C5 0.371 0.007 0.820
C6 0.371 0.493 0.320
C7 0.629 0.507 0.680
C8 0.629 0.993 0.180
C9 0.676 0.208 0.030
C10 0.676 0.292 0.530
C11 0.736 0.644 0.522
C12 0.736 0.856 0.022
N1 0.119 0.236 0.963
N2 0.119 0.264 0.463
N3 0.215 0.664 0.952
N4 0.215 0.836 0.452
N5 0.289 0.014 0.708
N6 0.289 0.486 0.208
N7 0.711 0.514 0.792
N8 0.711 0.986 0.292
N9 0.785 0.164 0.548
N10 0.785 0.336 0.048
N11 0.881 0.736 0.537
N12 0.881 0.764 0.037



# 3
# Sr10P6SO24

An optimized crystal structure of Sr10P6SO24 (PBE, the Materials Project).

Output
**Symmetry**: P-3
**Electronic total energy**: -7.09 eV/atom
**Calculated formation energy**: -318 kJ/mol of atoms

a = 9.931 Å, b = 9.931 Å, c = 7.286 Å
α = 90.00°, β = 90.00°, γ = 120.00°
Fractional coordinates of all 41 atoms:
Sr1 0.011 0.257 0.259
Sr2 0.246 0.989 0.259
Sr3 0.257 0.246 0.741
Sr4 0.333 0.667 0.021
Sr5 0.333 0.667 0.519
Sr6 0.667 0.333 0.481
Sr7 0.667 0.333 0.979
Sr8 0.743 0.754 0.259
Sr9 0.754 0.011 0.741
Sr10 0.989 0.743 0.741
P1 0.029 0.398 0.753
P2 0.369 0.971 0.753
P3 0.398 0.369 0.247
P4 0.602 0.631 0.753
P5 0.631 0.029 0.247
P6 0.971 0.602 0.247
S1 0.000 0.000 0.500
O1 0.065 0.310 0.905
O2 0.099 0.381 0.569
O3 0.112 0.576 0.795
O4 0.150 0.671 0.261
O5 0.245 0.935 0.905
O6 0.282 0.901 0.569
O7 0.310 0.245 0.095
O8 0.329 0.479 0.261
O9 0.381 0.282 0.431
O10 0.424 0.536 0.795
O11 0.464 0.888 0.795
O12 0.479 0.150 0.739
O13 0.521 0.850 0.261
O14 0.536 0.112 0.205
O15 0.576 0.464 0.205
O16 0.619 0.718 0.569
O17 0.671 0.521 0.739
O18 0.690 0.755 0.905
O19 0.718 0.099 0.431
O20 0.755 0.065 0.095
O21 0.850 0.329 0.739
O22 0.888 0.424 0.205
O23 0.901 0.619 0.431
O24 0.935 0.690 0.095



# 4
# BaB12H12O6

An optimized crystal structure of BaB12H12O6 (PBE, the Materials Project).

Output
**Symmetry**: Cmcm
**Electronic total energy**: -5.11 eV/atom
**Calculated formation energy**: -18 kJ/mol of atoms

a = 7.881 Å, b = 7.881 Å, c = 13.860 Å
α = 90.00°, β = 90.00°, γ = 80.57°
Fractional coordinates of all 62 atoms:
Ba1 0.239 0.761 0.750
Ba2 0.761 0.239 0.250
B1 0.298 0.462 0.024
B2 0.298 0.462 0.476
B3 0.336 0.664 0.522
B4 0.336 0.664 0.978
B5 0.375 0.476 0.596
B6 0.375 0.476 0.904
B7 0.399 0.601 0.097
B8 0.399 0.601 0.403
B9 0.462 0.298 0.524
B10 0.462 0.298 0.976
B11 0.476 0.375 0.096
B12 0.476 0.375 0.404
B13 0.524 0.625 0.596
B14 0.524 0.625 0.904
B15 0.538 0.702 0.024
B16 0.538 0.702 0.476
B17 0.601 0.399 0.597
B18 0.601 0.399 0.903
B19 0.625 0.524 0.096
B20 0.625 0.524 0.404
B21 0.664 0.336 0.022
B22 0.664 0.336 0.478
B23 0.702 0.538 0.524
B24 0.702 0.538 0.976
H1 0.155 0.432 0.039
H2 0.155 0.432 0.461
H3 0.219 0.781 0.539
H4 0.219 0.781 0.961
H5 0.285 0.457 0.664
H6 0.285 0.457 0.836
H7 0.331 0.669 0.167
H8 0.331 0.669 0.333
H9 0.432 0.155 0.539
H10 0.432 0.155 0.961
H11 0.457 0.285 0.164
H12 0.457 0.285 0.336
H13 0.543 0.715 0.664
H14 0.543 0.715 0.836
H15 0.568 0.845 0.039
H16 0.568 0.845 0.461
H17 0.669 0.331 0.667
H18 0.669 0.331 0.833
H19 0.715 0.543 0.164
H20 0.715 0.543 0.336
H21 0.781 0.219 0.039
H22 0.781 0.219 0.461
H23 0.845 0.568 0.539
H24 0.845 0.568 0.961
O1 0.114 0.166 0.170
O2 0.114 0.166 0.330
O3 0.143 0.202 0.750
O4 0.166 0.114 0.670
O5 0.166 0.114 0.830
O6 0.202 0.143 0.250
O7 0.798 0.857 0.750
O8 0.834 0.886 0.170
O9 0.834 0.886 0.330
O10 0.857 0.798 0.250
O11 0.886 0.834 0.670
O12 0.886 0.834 0.830



# 5
# Ca7Ni4Sn13

An optimized crystal structure of Ca7Ni4Sn13 (PBE, the Materials Project).

Output
**Symmetry**: P4/m
**Electronic total energy**: -4.21 eV/atom
**Calculated formation energy**: -47 kJ/mol of atoms

a = 11.311 Å, b = 11.311 Å, c = 4.647 Å
α = 90.00°, β = 90.00°, γ = 90.00°
Fractional coordinates of all 24 atoms:
Ca1 0.000 0.000 0.000
Ca2 0.000 0.500 0.500
Ca3 0.329 0.337 0.500
Ca4 0.337 0.671 0.500
Ca5 0.500 0.000 0.500
Ca6 0.663 0.329 0.500
Ca7 0.671 0.663 0.500
Ni1 0.119 0.724 0.000
Ni2 0.276 0.119 0.000
Ni3 0.724 0.881 0.000
Ni4 0.881 0.276 0.000
Sn1 0.076 0.809 0.500
Sn2 0.111 0.283 0.000
Sn3 0.191 0.076 0.500
Sn4 0.215 0.518 0.000
Sn5 0.283 0.889 0.000
Sn6 0.482 0.215 0.000
Sn7 0.500 0.500 0.000
Sn8 0.518 0.785 0.000
Sn9 0.717 0.111 0.000
Sn10 0.785 0.482 0.000
Sn11 0.809 0.924 0.500
Sn12 0.889 0.717 0.000
Sn13 0.924 0.191 0.500



# 6
# Pb3C6N6O8

An optimized crystal structure of Pb3C6N6O8 (PBE, the Materials Project).

Output
**Symmetry**: Cc
**Electronic total energy**: -7.25 eV/atom
**Calculated formation energy**: -67 kJ/mol of atoms

a = 8.754 Å, b = 8.754 Å, c = 11.997 Å
α = 117.27°, β = 117.27°, γ = 47.38°
Fractional coordinates of all 46 atoms:
Pb1 0.040 0.664 0.773
Pb2 0.156 0.685 0.136
Pb3 0.176 0.824 0.500
Pb4 0.664 0.040 0.273
Pb5 0.685 0.156 0.636
Pb6 0.824 0.176 0.000
C1 0.067 0.318 0.034
C2 0.070 0.157 0.337
C3 0.157 0.070 0.837
C4 0.269 0.290 0.441
C5 0.290 0.269 0.941
C6 0.318 0.067 0.534
C7 0.511 0.805 0.237
C8 0.552 0.586 0.327
C9 0.586 0.552 0.827
C10 0.717 0.750 0.936
C11 0.750 0.717 0.436
C12 0.805 0.511 0.737
N1 0.056 0.164 0.932
N2 0.114 0.283 0.345
N3 0.164 0.056 0.432
N4 0.190 0.369 0.042
N5 0.283 0.114 0.845
N6 0.369 0.190 0.542
N7 0.457 0.684 0.228
N8 0.594 0.701 0.928
N9 0.662 0.816 0.341
N10 0.684 0.457 0.728
N11 0.701 0.594 0.428
N12 0.816 0.662 0.841
O1 0.017 0.780 0.285
O2 0.076 0.824 0.991
O3 0.123 0.944 0.736
O4 0.344 0.378 0.446
O5 0.378 0.344 0.946
O6 0.411 0.959 0.616
O7 0.425 0.911 0.155
O8 0.473 0.498 0.318
O9 0.498 0.473 0.818
O10 0.752 0.873 0.040
O11 0.780 0.017 0.785
O12 0.824 0.076 0.491
O13 0.873 0.752 0.540
O14 0.911 0.425 0.655
O15 0.944 0.123 0.236
O16 0.959 0.411 0.116